No. 1
Below is crystalline Mn2Ge at its relaxed geometry, with properties calculated at the GGA-PBE level.

Formation energy from the elements   0.399 eV per formula unit
Uncorrected energy   -22.55 eV/cell
Space-group type   No. 216
Total magnetization   0.0 μB/f.u.

Cell lengths 3.8622, 3.8622, 3.8622 Å; angles 60.00, 60.00, 60.00 degrees
Closest atoms and distances in Å follow each position.
Positions (direct):
Mn 0.0000 0.0000 0.0000  4 Mn 2.37
Mn 0.2500 0.2500 0.2500  4 Ge 2.37, 4 Mn 2.37
Ge 0.5000 0.5000 0.5000  4 Mn 2.37

---

No. 2
Below is crystalline Ca2Cu2Si3H4O12 at its relaxed geometry, with properties calculated at the GGA-PBE level.

Formation energy from the elements   -53.461 eV per formula unit
Uncorrected energy   -293.30 eV/cell
Space-group type   No. 11
Total magnetization   2.0 μB/f.u.
Energy relative to the lowest polymorph listed for this composition   0 meV/atom

Cell lengths 5.5694, 13.7108, 7.4768 Å; angles 90.00, 97.14, 90.00 degrees
Closest atoms and distances in Å follow each position.
Positions (direct):
Ca 0.0592 0.1160 0.3095  4 O 2.26-2.36
Ca 0.0592 0.3840 0.3095  4 O 2.26-2.36
Ca 0.9408 0.6160 0.6905  4 O 2.26-2.36
Ca 0.9408 0.8840 0.6905  4 O 2.26-2.36
Cu 0.2224 0.2500 0.9455  4 O 1.94-1.99
Cu 0.2784 0.7500 0.0269  4 O 1.95
Cu 0.7216 0.2500 0.9731  4 O 1.95
Cu 0.7776 0.7500 0.0545  4 O 1.94-1.99
Si 0.4427 0.7500 0.5784  4 O 1.61-1.65
Si 0.4881 0.5876 0.2733  4 O 1.60-1.72
Si 0.4881 0.9124 0.2733  4 O 1.60-1.72
Si 0.5119 0.0876 0.7267  4 O 1.60-1.72
Si 0.5119 0.4124 0.7267  4 O 1.60-1.72
Si 0.5573 0.2500 0.4216  4 O 1.61-1.65
H 0.0880 0.5967 0.0809  1 O 1.01
H 0.0880 0.9033 0.0809  1 O 1.01
H 0.1158 0.0682 0.7353  1 O 0.98
H 0.1158 0.4318 0.7353  1 O 0.98
H 0.8842 0.5682 0.2647  1 O 0.98
H 0.8842 0.9318 0.2647  1 O 0.98
H 0.9120 0.0967 0.9191  1 O 1.01
H 0.9120 0.4033 0.9191  1 O 1.01
O 0.0216 0.6520 0.0009  1 H 1.01
O 0.0216 0.8480 0.0009  1 H 1.01
O 0.2042 0.7500 0.6801  1 Si 1.61
O 0.2306 0.0388 0.6613  1 H 0.98
O 0.2306 0.4612 0.6613  1 H 0.98
O 0.2649 0.5149 0.2251  1 Si 1.60, 1 H 1.77
O 0.2649 0.9851 0.2251  1 Si 1.60, 1 H 1.77
O 0.2997 0.2500 0.2947  1 Si 1.62
O 0.4362 0.6523 0.4488  2 Si 1.64-1.65
O 0.4362 0.8477 0.4488  2 Si 1.64-1.65
O 0.4671 0.1548 0.9023  1 Si 1.65
O 0.4671 0.3452 0.9023  1 Si 1.65
O 0.5329 0.6548 0.0977  1 Si 1.65
O 0.5329 0.8452 0.0977  1 Si 1.65
O 0.5638 0.1523 0.5512  2 Si 1.64-1.65
O 0.5638 0.3477 0.5512  2 Si 1.64-1.65
O 0.7003 0.7500 0.7053  1 Si 1.62
O 0.7351 0.0149 0.7749  1 Si 1.60, 1 H 1.77
O 0.7351 0.4851 0.7749  1 Si 1.60, 1 H 1.77
O 0.7694 0.5388 0.3387  1 H 0.98
O 0.7694 0.9612 0.3387  1 H 0.98
O 0.7958 0.2500 0.3199  1 Si 1.61
O 0.9784 0.1520 0.9991  1 H 1.01
O 0.9784 0.3480 0.9991  1 H 1.01

---

No. 3
Below is crystalline Sr2LiTi6N2O11 at its relaxed geometry, with properties calculated at the GGA-PBE level.

Formation energy from the elements   -66.858 eV per formula unit
Uncorrected energy   -183.06 eV/cell
Space-group type   No. 1
Total magnetization   0.0 μB/f.u.
Energy relative to the lowest polymorph listed for this composition   10 meV/atom

Cell lengths 3.9003, 7.7876, 9.6917 Å; angles 102.14, 90.01, 104.50 degrees
Closest atoms and distances in Å follow each position.
Positions (direct):
Sr 0.0000 0.0000 0.0000  8 O 2.52-2.76
Sr 0.0743 0.1526 0.5765  4 O 2.63-2.72, 2 N 2.74-2.75
Li 0.8816 0.7629 0.2377  4 O 1.88-2.02
Ti 0.2979 0.5957 0.0574  4 O 1.80-2.00
Ti 0.3438 0.6876 0.4169  4 O 1.90-2.12, 1 N 1.97
Ti 0.4005 0.8019 0.7268  5 O 1.96-2.12, 1 N 1.99
Ti 0.6551 0.3109 0.8978  1 N 1.81, 3 O 1.85-2.01
Ti 0.6835 0.3650 0.2696  2 O 1.76-1.83
Ti 0.7624 0.5255 0.6043  3 N 1.84-2.00
N 0.2855 0.5716 0.5804  4 Ti 1.97-2.00
N 0.6834 0.3684 0.7259  2 Ti 1.81-1.84
O 0.1661 0.3328 0.9468  3 Ti 2.01-2.04
O 0.2188 0.4366 0.2643  3 Ti 2.02-2.13
O 0.3681 0.7362 0.9291  1 Ti 1.80
O 0.3905 0.7811 0.2261  2 Ti 1.91-2.12, 2 Li 1.96
O 0.4552 0.9124 0.5501  2 Ti 1.90-2.06
O 0.5299 0.0601 0.8391  2 Ti 1.85-2.01
O 0.5841 0.1673 0.1339  1 Ti 1.76
O 0.6478 0.2939 0.4385  1 Ti 1.83
O 0.7730 0.5459 0.0740  3 Ti 2.00-2.18, 1 Li 2.02
O 0.8282 0.6564 0.3965  1 Li 1.88, 2 Ti 1.97
O 0.8932 0.7871 0.7343  3 Ti 1.96-2.10

---

No. 4
Below is crystalline Mg14ZnGa at its relaxed geometry, with properties calculated at the GGA-PBE level.

Formation energy from the elements   -0.393 eV per formula unit
Uncorrected energy   -27.08 eV/cell
Space-group type   No. 187
Energy relative to the lowest polymorph listed for this composition   0 meV/atom

Cell lengths 6.2756, 6.2756, 10.2625 Å; angles 90.00, 90.00, 120.00 degrees
Closest atoms and distances in Å follow each position.
Positions (direct):
Mg 0.0000 0.0000 0.2486  12 Mg 3.13-3.15
Mg 0.0000 0.0000 0.7514  12 Mg 3.13-3.15
Mg 0.0054 0.5027 0.2486  10 Mg 3.09-3.19, 1 Zn 3.11, 1 Ga 3.14
Mg 0.0054 0.5027 0.7514  10 Mg 3.09-3.19, 1 Zn 3.11, 1 Ga 3.14
Mg 0.3326 0.1663 0.0000  10 Mg 3.13-3.15, 2 Zn 3.14
Mg 0.3336 0.1668 0.5000  10 Mg 3.14-3.16, 2 Ga 3.14
Mg 0.4973 0.5027 0.2486  10 Mg 3.09-3.19, 1 Zn 3.11, 1 Ga 3.14
Mg 0.4973 0.5027 0.7514  10 Mg 3.09-3.19, 1 Zn 3.11, 1 Ga 3.14
Mg 0.4973 0.9946 0.2486  10 Mg 3.09-3.19, 1 Zn 3.11, 1 Ga 3.14
Mg 0.4973 0.9946 0.7514  10 Mg 3.09-3.19, 1 Zn 3.11, 1 Ga 3.14
Mg 0.8332 0.1668 0.5000  10 Mg 3.14-3.16, 2 Ga 3.14
Mg 0.8332 0.6664 0.5000  10 Mg 3.14-3.16, 2 Ga 3.14
Mg 0.8337 0.1663 0.0000  10 Mg 3.13-3.15, 2 Zn 3.14
Mg 0.8337 0.6674 0.0000  10 Mg 3.13-3.15, 2 Zn 3.14
Zn 0.3333 0.6667 0.0000  12 Mg 3.11-3.14
Ga 0.3333 0.6667 0.5000  12 Mg 3.14

---

No. 5
Below is crystalline TmScSi at its relaxed geometry, with properties calculated at the GGA-PBE level.

Formation energy from the elements   -1.239 eV per formula unit
Uncorrected energy   -105.26 eV/cell
Space-group type   No. 38
Total magnetization   0.0 μB/f.u.

Cell lengths 6.0840, 8.5292, 8.5292 Å; angles 115.98, 90.00, 90.00 degrees
Closest atoms and distances in Å follow each position.
Positions (direct):
Tm 0.0000 0.0000 0.0000  7 Si 2.96-3.29
Tm 0.0000 0.5018 0.7543  3 Si 2.77-2.85
Tm 0.0000 0.7543 0.5018  3 Si 2.77-2.85
Tm 0.5000 0.0495 0.7809  3 Si 2.80-2.82, 2 Sc 3.06-3.11
Tm 0.5000 0.4464 0.4464  3 Si 2.79-2.83, 2 Sc 2.88
Tm 0.5000 0.7809 0.0495  3 Si 2.80-2.82, 2 Sc 3.06-3.11
Sc 0.2481 0.0969 0.4091  3 Si 2.84-3.05, 2 Sc 3.02-3.07
Sc 0.2481 0.4091 0.0969  3 Si 2.84-3.05, 2 Sc 3.02-3.07
Sc 0.5000 0.3985 0.7598  5 Tm 2.88-3.17, 2 Si 3.18
Sc 0.5000 0.7598 0.3985  5 Tm 2.88-3.17, 2 Si 3.18
Sc 0.7519 0.0969 0.4091  3 Si 2.84-3.05, 2 Sc 3.02-3.07
Sc 0.7519 0.4091 0.0969  3 Si 2.84-3.05, 2 Sc 3.02-3.07
Si 0.0000 0.1738 0.7669  2 Tm 2.85-2.96, 2 Sc 3.05
Si 0.0000 0.3447 0.3447  4 Sc 2.84, 5 Tm 3.12-3.18
Si 0.0000 0.7669 0.1738  2 Tm 2.85-2.96, 2 Sc 3.05
Si 0.3062 0.7304 0.7304  1 Si 2.36
Si 0.5000 0.1376 0.1376  3 Tm 2.79-2.80, 4 Sc 2.92
Si 0.6938 0.7304 0.7304  1 Si 2.36

---

No. 6
Below is crystalline CsNbN2 at its relaxed geometry, with properties calculated at the GGA-PBE level.

Formation energy from the elements   -3.691 eV per formula unit
Uncorrected energy   -490.23 eV/cell
Space-group type   No. 61
Total magnetization   0.0 μB/f.u.

Cell lengths 6.2707, 12.6240, 17.7130 Å; angles 90.00, 90.00, 90.00 degrees
Closest atoms and distances in Å follow each position.
Positions (direct):
Cs 0.2102 0.2482 0.1876  8 N 3.35-3.69
Cs 0.2102 0.2518 0.6876  8 N 3.35-3.69
Cs 0.2481 0.0006 0.0629  5 N 3.28-3.66
Cs 0.2481 0.4994 0.5629  5 N 3.28-3.66
Cs 0.2519 0.5006 0.0629  5 N 3.28-3.66
Cs 0.2519 0.9994 0.5629  5 N 3.28-3.66
Cs 0.2898 0.7482 0.1876  8 N 3.35-3.69
Cs 0.2898 0.7518 0.6876  8 N 3.35-3.69
Cs 0.7102 0.2482 0.3124  8 N 3.35-3.69
Cs 0.7102 0.2518 0.8124  8 N 3.35-3.69
Cs 0.7481 0.0006 0.4371  5 N 3.28-3.66
Cs 0.7481 0.4994 0.9371  5 N 3.28-3.66
Cs 0.7519 0.5006 0.4371  5 N 3.28-3.66
Cs 0.7519 0.9994 0.9371  5 N 3.28-3.66
Cs 0.7898 0.7482 0.3124  8 N 3.35-3.69
Cs 0.7898 0.7518 0.8124  8 N 3.35-3.69
Nb 0.2228 0.2442 0.4381  4 N 1.95-1.96
Nb 0.2228 0.2558 0.9381  4 N 1.95-1.96
Nb 0.2468 0.5034 0.8125  4 N 1.96
Nb 0.2468 0.9966 0.3125  4 N 1.96
Nb 0.2532 0.0034 0.8125  4 N 1.96
Nb 0.2532 0.4966 0.3125  4 N 1.96
Nb 0.2772 0.7442 0.4381  4 N 1.95-1.96
Nb 0.2772 0.7558 0.9381  4 N 1.95-1.96
Nb 0.7228 0.2442 0.0619  4 N 1.95-1.96
Nb 0.7228 0.2558 0.5619  4 N 1.95-1.96
Nb 0.7468 0.5034 0.6875  4 N 1.96
Nb 0.7468 0.9966 0.1875  4 N 1.96
Nb 0.7532 0.0034 0.6875  4 N 1.96
Nb 0.7532 0.4966 0.1875  4 N 1.96
Nb 0.7772 0.7442 0.0619  4 N 1.95-1.96
Nb 0.7772 0.7558 0.5619  4 N 1.95-1.96
N 0.0360 0.5064 0.2335  2 Nb 1.96
N 0.0360 0.9936 0.7335  2 Nb 1.96
N 0.0614 0.7340 0.0168  2 Nb 1.96
N 0.0614 0.7660 0.5168  2 Nb 1.96
N 0.2140 0.6122 0.3849  2 Nb 1.95-1.96
N 0.2140 0.8878 0.8849  2 Nb 1.95-1.96
N 0.2285 0.1388 0.8655  2 Nb 1.96
N 0.2285 0.3612 0.3655  2 Nb 1.96
N 0.2715 0.6388 0.8655  2 Nb 1.96
N 0.2715 0.8612 0.3655  2 Nb 1.96
N 0.2860 0.1122 0.3849  2 Nb 1.95-1.96
N 0.2860 0.3878 0.8849  2 Nb 1.95-1.96
N 0.4386 0.2340 0.0168  2 Nb 1.96
N 0.4386 0.2660 0.5168  2 Nb 1.96
N 0.4640 0.0064 0.2335  2 Nb 1.96
N 0.4640 0.4936 0.7335  2 Nb 1.96
N 0.5360 0.5064 0.2665  2 Nb 1.96
N 0.5360 0.9936 0.7665  2 Nb 1.96
N 0.5614 0.7340 0.4832  2 Nb 1.96
N 0.5614 0.7660 0.9832  2 Nb 1.96
N 0.7140 0.6122 0.1151  2 Nb 1.95-1.96
N 0.7140 0.8878 0.6151  2 Nb 1.95-1.96
N 0.7285 0.1388 0.6345  2 Nb 1.96
N 0.7285 0.3612 0.1345  2 Nb 1.96
N 0.7715 0.6388 0.6345  2 Nb 1.96
N 0.7715 0.8612 0.1345  2 Nb 1.96
N 0.7860 0.1122 0.1151  2 Nb 1.95-1.96
N 0.7860 0.3878 0.6151  2 Nb 1.95-1.96
N 0.9386 0.2340 0.4832  2 Nb 1.96
N 0.9386 0.2660 0.9832  2 Nb 1.96
N 0.9640 0.0064 0.2665  2 Nb 1.96
N 0.9640 0.4936 0.7665  2 Nb 1.96

---

No. 7
Below is crystalline Ga7Pt3 at its relaxed geometry, with properties calculated at the GGA-PBE level.

Formation energy from the elements   -5.381 eV per formula unit
Uncorrected energy   -89.58 eV/cell
Space-group type   No. 229

Cell lengths 7.6875, 7.6875, 7.6875 Å; angles 109.47, 109.47, 109.47 degrees
Closest atoms and distances in Å follow each position.
Positions (direct):
Ga 0.0000 0.0000 0.3285  3 Pt 2.59, 1 Ga 2.64
Ga 0.0000 0.0000 0.6715  3 Pt 2.59, 1 Ga 2.64
Ga 0.0000 0.3285 0.0000  3 Pt 2.59, 1 Ga 2.64
Ga 0.0000 0.6715 0.0000  3 Pt 2.59, 1 Ga 2.64
Ga 0.2500 0.5000 0.7500  4 Pt 2.63
Ga 0.2500 0.7500 0.5000  4 Pt 2.63
Ga 0.3285 0.0000 0.0000  3 Pt 2.59, 1 Ga 2.64
Ga 0.3285 0.3285 0.3285  3 Pt 2.59, 1 Ga 2.64
Ga 0.5000 0.2500 0.7500  4 Pt 2.63
Ga 0.5000 0.7500 0.2500  4 Pt 2.63
Ga 0.6715 0.0000 0.0000  3 Pt 2.59, 1 Ga 2.64
Ga 0.6715 0.6715 0.6715  3 Pt 2.59, 1 Ga 2.64
Ga 0.7500 0.2500 0.5000  4 Pt 2.63
Ga 0.7500 0.5000 0.2500  4 Pt 2.63
Pt 0.0000 0.3406 0.3406  8 Ga 2.59-2.63, 1 Pt 2.83
Pt 0.0000 0.6594 0.6594  8 Ga 2.59-2.63, 1 Pt 2.83
Pt 0.3406 0.0000 0.3406  8 Ga 2.59-2.63, 1 Pt 2.83
Pt 0.3406 0.3406 0.0000  8 Ga 2.59-2.63, 1 Pt 2.83
Pt 0.6594 0.0000 0.6594  8 Ga 2.59-2.63, 1 Pt 2.83
Pt 0.6594 0.6594 0.0000  8 Ga 2.59-2.63, 1 Pt 2.83

---

Copy entry 2 word for word.
Below is crystalline Ca2Cu2Si3H4O12 at its relaxed geometry, with properties calculated at the GGA-PBE level.

Formation energy from the elements   -53.461 eV per formula unit
Uncorrected energy   -293.30 eV/cell
Space-group type   No. 11
Total magnetization   2.0 μB/f.u.
Energy relative to the lowest polymorph listed for this composition   0 meV/atom

Cell lengths 5.5694, 13.7108, 7.4768 Å; angles 90.00, 97.14, 90.00 degrees
Closest atoms and distances in Å follow each position.
Positions (direct):
Ca 0.0592 0.1160 0.3095  4 O 2.26-2.36
Ca 0.0592 0.3840 0.3095  4 O 2.26-2.36
Ca 0.9408 0.6160 0.6905  4 O 2.26-2.36
Ca 0.9408 0.8840 0.6905  4 O 2.26-2.36
Cu 0.2224 0.2500 0.9455  4 O 1.94-1.99
Cu 0.2784 0.7500 0.0269  4 O 1.95
Cu 0.7216 0.2500 0.9731  4 O 1.95
Cu 0.7776 0.7500 0.0545  4 O 1.94-1.99
Si 0.4427 0.7500 0.5784  4 O 1.61-1.65
Si 0.4881 0.5876 0.2733  4 O 1.60-1.72
Si 0.4881 0.9124 0.2733  4 O 1.60-1.72
Si 0.5119 0.0876 0.7267  4 O 1.60-1.72
Si 0.5119 0.4124 0.7267  4 O 1.60-1.72
Si 0.5573 0.2500 0.4216  4 O 1.61-1.65
H 0.0880 0.5967 0.0809  1 O 1.01
H 0.0880 0.9033 0.0809  1 O 1.01
H 0.1158 0.0682 0.7353  1 O 0.98
H 0.1158 0.4318 0.7353  1 O 0.98
H 0.8842 0.5682 0.2647  1 O 0.98
H 0.8842 0.9318 0.2647  1 O 0.98
H 0.9120 0.0967 0.9191  1 O 1.01
H 0.9120 0.4033 0.9191  1 O 1.01
O 0.0216 0.6520 0.0009  1 H 1.01
O 0.0216 0.8480 0.0009  1 H 1.01
O 0.2042 0.7500 0.6801  1 Si 1.61
O 0.2306 0.0388 0.6613  1 H 0.98
O 0.2306 0.4612 0.6613  1 H 0.98
O 0.2649 0.5149 0.2251  1 Si 1.60, 1 H 1.77
O 0.2649 0.9851 0.2251  1 Si 1.60, 1 H 1.77
O 0.2997 0.2500 0.2947  1 Si 1.62
O 0.4362 0.6523 0.4488  2 Si 1.64-1.65
O 0.4362 0.8477 0.4488  2 Si 1.64-1.65
O 0.4671 0.1548 0.9023  1 Si 1.65
O 0.4671 0.3452 0.9023  1 Si 1.65
O 0.5329 0.6548 0.0977  1 Si 1.65
O 0.5329 0.8452 0.0977  1 Si 1.65
O 0.5638 0.1523 0.5512  2 Si 1.64-1.65
O 0.5638 0.3477 0.5512  2 Si 1.64-1.65
O 0.7003 0.7500 0.7053  1 Si 1.62
O 0.7351 0.0149 0.7749  1 Si 1.60, 1 H 1.77
O 0.7351 0.4851 0.7749  1 Si 1.60, 1 H 1.77
O 0.7694 0.5388 0.3387  1 H 0.98
O 0.7694 0.9612 0.3387  1 H 0.98
O 0.7958 0.2500 0.3199  1 Si 1.61
O 0.9784 0.1520 0.9991  1 H 1.01
O 0.9784 0.3480 0.9991  1 H 1.01